No. 1
DFT (PBE) results for crystalline Na14Ca5Ti3P12O48 at its relaxed geometry.

Cell lengths 18.4861, 9.2561, 22.3541 Å; angles 90.05, 90.00, 119.75 degrees
Last column: nearest neighbours and their distance in Å.
Fractional coordinates of all 246 atoms:
O (0.8973, 0.9733, 0.6957)  1 P 1.61
O (0.8497, 0.1734, 0.0290)  1 P 1.65
O (0.2080, 0.2837, 0.0302)  1 P 1.55
O (0.0932, 0.9877, 0.9108)  1 P 1.53
O (0.5830, 0.9711, 0.2005)  1 P 1.62
O (0.9185, 0.5337, 0.0288)  1 P 1.61
O (0.4370, 0.3473, 0.2432)  1 P 1.52
O (0.5073, 0.8159, 0.4105)  1 P 1.54
O (0.7359, 0.3362, 0.7426)  1 P 1.53
O (0.3258, 0.5406, 0.6409)  1 P 1.52
O (0.0776, 0.4662, 0.5823)  1 P 1.54
O (0.5760, 0.6803, 0.0846)  1 P 1.54
O (0.4012, 0.8268, 0.1991)  1 P 1.61
O (0.9442, 0.5413, 0.1411)  1 P 1.52
O (0.0931, 0.4776, 0.2488)  1 P 1.59
O (0.2747, 0.6718, 0.9734)  1 P 1.52
O (0.0667, 0.6733, 0.0756)  1 P 1.54
O (0.8267, 0.1206, 0.1390)  1 P 1.49
O (0.5877, 0.2024, 0.6993)  1 P 1.59
O (0.4912, 0.1555, 0.5974)  1 P 1.59
O (0.7515, 0.3721, 0.4075)  1 P 1.55
O (0.5924, 0.2013, 0.4103)  1 P 1.54
O (0.0688, 0.4994, 0.8656)  1 P 1.63
O (0.1567, 0.4656, 0.0846)  1 P 1.54
O (0.2083, 0.1305, 0.5291)  1 P 1.55
O (0.0102, 0.1935, 0.1989)  1 P 1.61
O (0.5145, 0.1983, 0.1985)  1 P 1.61
O (0.5773, 0.4655, 0.5823)  1 P 1.54
O (0.4981, 0.2233, 0.3104)  1 P 1.51
O (0.2527, 0.8415, 0.3621)  1 P 1.62
O (0.7595, 0.6982, 0.2526)  1 P 1.57
O (0.2342, 0.3350, 0.7431)  1 P 1.54
O (0.6644, 0.4540, 0.4720)  1 P 1.52
O (0.7753, 0.8775, 0.4747)  1 P 1.52
O (0.6118, 0.0080, 0.3116)  1 P 1.52
O (0.0849, 0.0165, 0.5958)  1 P 1.59
O (0.3997, 0.9835, 0.4109)  1 P 1.54
O (0.5161, 0.8358, 0.7015)  1 P 1.61
O (0.4307, 0.5381, 0.7432)  1 P 1.52
O (0.7661, 0.6855, 0.5840)  1 P 1.54
O (0.8927, 0.0071, 0.8073)  1 P 1.49
O (0.6830, 0.8678, 0.8627)  1 P 1.61
O (0.2502, 0.6557, 0.8608)  1 P 1.62
O (0.5826, 0.5053, 0.8645)  1 P 1.63
O (0.9388, 0.2812, 0.5233)  1 P 1.55
O (0.1472, 0.8183, 0.2504)  1 P 1.58
O (0.7644, 0.8746, 0.0744)  1 P 1.51
O (0.0926, 0.2009, 0.4102)  1 P 1.54
O (0.3118, 0.1271, 0.4084)  1 P 1.54
O (0.9973, 0.7824, 0.8112)  1 P 1.51
O (0.7253, 0.3384, 0.1432)  1 P 1.51
O (0.2287, 0.1118, 0.6406)  1 P 1.52
O (0.5763, 0.6621, 0.3586)  1 P 1.62
O (0.5105, 0.2062, 0.9102)  1 P 1.54
O (0.7718, 0.6687, 0.9706)  1 P 1.50
O (0.7560, 0.1461, 0.9227)  1 P 1.58
O (0.6158, 0.2149, 0.8105)  1 P 1.52
O (0.4952, 0.7754, 0.8127)  1 P 1.52
O (0.1569, 0.8469, 0.5841)  1 P 1.54
O (0.9922, 0.1565, 0.5966)  1 P 1.59
O (0.0802, 0.9647, 0.1976)  1 P 1.62
O (0.3238, 0.1174, 0.1328)  1 P 1.51
O (0.8932, 0.7704, 0.3104)  1 P 1.51
O (0.1688, 0.8478, 0.8592)  1 P 1.62
O (0.9023, 0.8336, 0.1994)  1 P 1.61
O (0.9299, 0.3767, 0.9199)  1 P 1.58
O (0.2682, 0.8451, 0.0831)  1 P 1.54
O (0.7577, 0.6413, 0.8578)  1 P 1.63
O (0.9243, 0.0452, 0.0858)  1 P 1.57
O (0.3598, 0.1222, 0.0237)  1 P 1.55
O (0.3580, 0.5849, 0.5295)  1 P 1.55
O (0.8262, 0.5416, 0.6407)  1 P 1.52
O (0.0860, 0.1990, 0.6996)  1 P 1.60
O (0.3881, 0.0042, 0.8122)  1 P 1.51
O (0.0850, 0.1505, 0.0980)  1 P 1.60
O (0.4370, 0.3780, 0.9079)  1 P 1.54
O (0.5630, 0.6738, 0.4721)  1 P 1.52
O (0.7318, 0.1415, 0.2439)  1 P 1.51
O (0.0633, 0.6740, 0.4720)  1 P 1.52
O (0.8998, 0.9837, 0.4111)  1 P 1.54
O (0.1694, 0.4911, 0.3587)  1 P 1.62
O (0.9029, 0.7905, 0.9109)  1 P 1.52
O (0.6604, 0.4592, 0.0772)  1 P 1.53
O (0.1103, 0.0080, 0.3094)  1 P 1.52
O (0.1130, 0.2069, 0.8111)  1 P 1.52
O (0.2287, 0.3471, 0.1417)  1 P 1.52
O (0.6696, 0.4913, 0.3586)  1 P 1.62
O (0.7289, 0.1123, 0.6404)  1 P 1.52
O (0.8338, 0.5338, 0.2416)  1 P 1.53
O (0.3132, 0.4961, 0.9075)  1 P 1.55
O (0.2296, 0.1394, 0.2414)  1 P 1.52
O (0.0606, 0.4481, 0.9779)  1 P 1.51
O (0.0154, 0.8340, 0.7000)  1 P 1.61
O (0.5996, 0.9986, 0.9095)  1 P 1.54
O (0.6568, 0.8469, 0.5841)  1 P 1.54
O (0.5937, 0.4806, 0.2493)  1 P 1.58
O (0.9356, 0.4982, 0.4076)  1 P 1.55
O (0.4342, 0.5838, 0.0296)  1 P 1.55
O (0.8120, 0.1273, 0.4085)  1 P 1.54
O (0.9367, 0.3490, 0.2444)  1 P 1.52
O (0.4222, 0.8296, 0.5975)  1 P 1.59
O (0.4015, 0.9761, 0.7008)  1 P 1.61
O (0.9228, 0.8290, 0.5963)  1 P 1.59
O (0.2753, 0.8774, 0.4746)  1 P 1.52
O (0.1640, 0.8754, 0.9724)  1 P 1.52
O (0.6535, 0.4849, 0.7543)  1 P 1.58
O (0.7599, 0.8128, 0.7517)  1 P 1.59
O (0.6580, 0.8705, 0.9754)  1 P 1.52
O (0.4246, 0.0198, 0.0971)  1 P 1.60
O (0.4355, 0.4979, 0.4077)  1 P 1.55
O (0.9817, 0.8153, 0.0875)  1 P 1.58
O (0.4918, 0.8279, 0.0973)  1 P 1.60
O (0.8574, 0.5835, 0.5292)  1 P 1.55
O (0.5605, 0.4513, 0.9759)  1 P 1.52
O (0.2659, 0.6851, 0.5841)  1 P 1.54
O (0.7078, 0.1302, 0.5291)  1 P 1.55
O (0.9980, 0.2237, 0.3111)  1 P 1.51
O (0.2516, 0.3723, 0.4074)  1 P 1.55
O (0.0078, 0.8164, 0.4103)  1 P 1.54
O (0.5847, 0.0161, 0.5962)  1 P 1.59
O (0.3330, 0.5294, 0.2420)  1 P 1.53
O (0.0066, 0.2054, 0.9116)  1 P 1.52
O (0.3988, 0.8141, 0.9095)  1 P 1.54
O (0.4406, 0.3548, 0.6319)  1 P 1.51
O (0.8240, 0.1245, 0.7436)  1 P 1.53
O (0.7357, 0.3055, 0.0305)  1 P 1.63
O (0.4435, 0.5419, 0.1412)  1 P 1.52
O (0.3251, 0.1258, 0.7449)  1 P 1.53
O (0.3935, 0.7691, 0.3104)  1 P 1.51
O (0.2522, 0.1295, 0.9077)  1 P 1.55
O (0.0765, 0.6622, 0.3584)  1 P 1.62
O (0.1644, 0.4538, 0.4720)  1 P 1.52
O (0.7528, 0.8418, 0.3623)  1 P 1.62
O (0.5959, 0.1477, 0.0838)  1 P 1.58
O (0.8119, 0.4774, 0.9173)  1 P 1.59
O (0.2592, 0.6951, 0.2528)  1 P 1.57
O (0.4387, 0.2804, 0.5234)  1 P 1.55
O (0.6483, 0.8195, 0.2515)  1 P 1.58
O (0.9293, 0.5385, 0.7444)  1 P 1.52
O (0.5920, 0.7071, 0.7543)  1 P 1.58
O (0.0898, 0.7019, 0.7527)  1 P 1.58
O (0.2597, 0.8126, 0.7504)  1 P 1.58
O (0.1494, 0.4784, 0.7564)  1 P 1.58
O (0.9410, 0.3546, 0.6320)  1 P 1.51
P (0.6743, 0.9696, 0.9180)  4 O 1.52-1.61
P (0.8470, 0.7086, 0.2518)  4 O 1.51-1.61
P (0.1723, 0.3170, 0.0880)  4 O 1.52-1.60
P (0.9771, 0.6407, 0.0839)  4 O 1.52-1.61
P (0.6802, 0.3188, 0.0849)  4 O 1.51-1.63
P (0.6723, 0.0265, 0.5871)  4 O 1.52-1.59
P (0.3440, 0.9842, 0.7531)  4 O 1.51-1.61
P (0.8394, 0.0453, 0.0837)  4 O 1.49-1.65
P (0.5194, 0.6627, 0.4133)  4 O 1.52-1.62
P (0.1449, 0.9865, 0.2506)  4 O 1.52-1.62
P (0.8118, 0.9613, 0.4153)  4 O 1.52-1.62
P (0.8406, 0.6547, 0.5872)  4 O 1.52-1.59
P (0.3405, 0.6548, 0.5876)  4 O 1.52-1.59
P (0.3118, 0.9612, 0.4152)  4 O 1.52-1.62
P (0.5069, 0.7075, 0.7538)  4 O 1.52-1.61
P (0.6481, 0.3097, 0.7525)  4 O 1.52-1.59
P (0.3410, 0.0262, 0.0837)  4 O 1.51-1.60
P (0.1456, 0.3045, 0.7536)  4 O 1.52-1.60
P (0.3463, 0.7044, 0.2523)  4 O 1.51-1.61
P (0.1693, 0.9632, 0.9137)  4 O 1.52-1.62
P (0.0058, 0.7086, 0.7530)  4 O 1.51-1.61
P (0.4870, 0.3196, 0.5835)  4 O 1.51-1.59
P (0.4866, 0.6520, 0.0875)  4 O 1.52-1.60
P (0.8450, 0.9856, 0.7509)  4 O 1.49-1.61
P (0.8131, 0.6504, 0.9157)  4 O 1.50-1.63
P (0.1693, 0.3766, 0.4134)  4 O 1.52-1.62
P (0.0148, 0.3755, 0.9199)  4 O 1.51-1.63
P (0.1724, 0.0265, 0.5871)  4 O 1.52-1.59
P (0.0066, 0.3090, 0.2516)  4 O 1.51-1.61
P (0.6473, 0.9889, 0.2529)  4 O 1.51-1.62
P (0.5082, 0.3104, 0.2512)  4 O 1.51-1.61
P (0.9873, 0.3202, 0.5833)  4 O 1.51-1.59
P (0.5204, 0.3806, 0.9155)  4 O 1.52-1.63
P (0.0194, 0.6628, 0.4133)  4 O 1.52-1.62
P (0.6693, 0.3769, 0.4133)  4 O 1.52-1.62
P (0.3110, 0.6602, 0.9137)  4 O 1.52-1.62
Na (0.1599, 0.6544, 0.6679)  6 O 2.46-2.62
Na (0.6803, 0.6829, 0.1648)  5 O 2.41-2.63
Na (0.4963, 0.6348, 0.2448)  3 O 2.32-2.49
Na (0.8308, 0.9783, 0.5827)  3 O 2.36-2.61
Na (0.6854, 0.3607, 0.2445)  4 O 2.40-2.57
Na (0.8205, 0.6297, 0.7467)  4 O 2.37-2.54
Na (0.3306, 0.9785, 0.5823)  3 O 2.36-2.60
Na (0.3541, 0.0348, 0.9143)  5 O 2.42-2.56
Na (0.8333, 0.3164, 0.3304)  5 O 2.36-2.62
Na (0.6587, 0.9727, 0.0811)  4 O 2.36-2.54
Na (0.4831, 0.2930, 0.4156)  6 O 2.46-2.75
Na (0.6810, 0.0085, 0.7458)  3 O 2.31-2.53
Na (0.3548, 0.6708, 0.4154)  6 O 2.45-2.68
Na (0.3336, 0.3173, 0.3303)  4 O 2.37-2.65
Na (0.5148, 0.3397, 0.0793)  3 O 2.35-2.61
Na (0.1621, 0.2892, 0.9143)  4 O 2.43-2.58
Na (0.3191, 0.6293, 0.7456)  4 O 2.37-2.59
Na (0.1811, 0.0089, 0.7460)  3 O 2.32-2.53
Na (0.5095, 0.6817, 0.5829)  2 O 2.37-2.60
Na (0.1736, 0.6789, 0.1678)  5 O 2.43-2.61
Na (0.9952, 0.6356, 0.2452)  3 O 2.32-2.50
Na (0.3304, 0.6774, 0.0800)  3 O 2.35-2.62
Na (0.4852, 0.6772, 0.9148)  4 O 2.43-2.66
Na (0.1851, 0.3598, 0.2447)  4 O 2.39-2.55
Na (0.9827, 0.2924, 0.4156)  6 O 2.46-2.74
Na (0.6594, 0.6538, 0.6683)  6 O 2.45-2.64
Na (0.1525, 0.9715, 0.0793)  3 O 2.41-2.60
Na (0.9998, 0.9999, 0.5002)  6 O 2.61-2.70
Na (0.1628, 0.0362, 0.4155)  6 O 2.45-2.71
Na (0.8544, 0.6706, 0.4153)  6 O 2.46-2.68
Na (0.8431, 0.3183, 0.8329)  4 O 2.40-2.63
Na (0.1594, 0.3371, 0.5823)  2 O 2.35-2.60
Na (0.9874, 0.6748, 0.9124)  3 O 2.29-2.44
Na (0.3412, 0.3335, 0.8300)  5 O 2.37-2.64
Na (0.9813, 0.9818, 0.9984)  4 O 2.42-2.70
Na (0.5011, 0.0016, 0.9994)  6 O 2.47-2.72
Na (0.0125, 0.3462, 0.0817)  3 O 2.32-2.50
Na (0.6644, 0.2951, 0.9124)  5 O 2.39-2.67
Na (0.0094, 0.6825, 0.5831)  2 O 2.37-2.58
Na (0.6599, 0.3378, 0.5822)  2 O 2.35-2.61
Na (0.6628, 0.0364, 0.4154)  6 O 2.45-2.71
Na (0.4999, 0.0003, 0.4999)  6 O 2.62-2.69
Ca (0.6670, 0.6675, 0.5173)  6 O 2.20-2.31
Ca (0.1670, 0.6674, 0.5173)  6 O 2.20-2.31
Ca (0.5005, 0.0045, 0.8457)  6 O 2.20-2.34
Ca (0.6706, 0.6674, 0.0172)  6 O 2.14-2.36
Ca (0.8338, 0.3330, 0.4851)  6 O 2.35-2.46
Ca (0.8334, 0.3319, 0.1833)  6 O 2.14-2.29
Ca (0.3333, 0.3320, 0.9842)  6 O 2.37-2.44
Ca (0.9952, 0.0022, 0.8500)  6 O 2.14-2.32
Ca (0.3334, 0.3252, 0.1825)  6 O 2.15-2.31
Ca (0.3343, 0.3337, 0.4852)  6 O 2.36-2.46
Ca (0.4984, 0.0017, 0.3451)  6 O 2.20-2.32
Ca (0.9981, 0.0015, 0.3450)  6 O 2.19-2.32
Ca (0.1672, 0.6668, 0.0171)  6 O 2.19-2.33
Ca (0.3366, 0.3326, 0.6835)  6 O 2.16-2.32
Ca (0.8370, 0.3337, 0.6832)  6 O 2.16-2.30
Ti (0.6706, 0.6666, 0.8177)  4 O 1.89-2.10
Ti (0.5002, 0.0045, 0.6560)  6 O 1.98-2.02
Ti (0.9996, 0.0041, 0.6551)  6 O 1.98-2.02
Ti (0.9955, 0.9965, 0.1527)  5 O 1.94-2.14
Ti (0.1693, 0.6707, 0.3156)  4 O 1.88-2.10
Ti (0.4972, 0.9934, 0.1554)  5 O 1.94-2.01
Ti (0.8323, 0.3292, 0.9851)  4 O 1.90-2.11
Ti (0.1596, 0.6569, 0.8172)  5 O 1.92-2.11
Ti (0.6697, 0.6719, 0.3152)  4 O 1.88-2.09

Magnetic moment in μB/f.u.: 0.00
Formation energy from the elements in eV per atom: -2.874
Symmetry: P1
Volume in Å³ per cell: 3321

No. 2
DFT (PBE) results for crystalline Na4CaYP3O12 at its relaxed geometry.

Cell lengths 9.4915, 9.4915, 22.6833 Å; angles 90.00, 90.00, 120.00 degrees
Last column: nearest neighbours and their distance in Å.
Fractional coordinates of all 126 atoms:
O (0.7843, 0.0102, 0.8078)  1 P 1.53
O (0.4948, 0.1498, 0.9179)  1 P 1.57
O (0.9898, 0.7741, 0.8078)  1 P 1.53
O (0.8281, 0.8165, 0.5845)  1 P 1.57
O (0.6550, 0.1498, 0.4179)  1 P 1.57
O (0.5192, 0.8513, 0.0820)  1 P 1.55
O (0.2259, 0.0102, 0.3078)  1 P 1.53
O (0.3320, 0.4808, 0.0820)  1 P 1.55
O (0.1835, 0.0117, 0.5845)  1 P 1.57
O (0.8526, 0.5180, 0.7487)  1 P 1.55
O (0.8926, 0.3436, 0.6411)  1 P 1.53
O (0.3320, 0.8513, 0.5820)  1 P 1.55
O (0.3491, 0.8857, 0.8632)  1 P 1.56
O (0.2259, 0.2157, 0.8078)  1 P 1.53
O (0.4948, 0.3450, 0.4179)  1 P 1.57
O (0.1176, 0.6769, 0.4745)  1 P 1.53
O (0.5593, 0.8824, 0.4745)  1 P 1.53
O (0.8154, 0.0013, 0.4154)  1 P 1.55
O (0.4510, 0.1074, 0.6411)  1 P 1.53
O (0.5366, 0.6509, 0.8632)  1 P 1.56
O (0.6654, 0.1474, 0.7487)  1 P 1.55
O (0.1143, 0.4634, 0.8632)  1 P 1.56
O (0.5169, 0.8385, 0.7512)  1 P 1.57
O (0.0158, 0.2191, 0.1966)  1 P 1.56
O (0.7809, 0.9842, 0.6966)  1 P 1.56
O (0.6564, 0.5490, 0.6411)  1 P 1.53
O (0.9883, 0.8165, 0.0845)  1 P 1.57
O (0.1487, 0.4808, 0.5820)  1 P 1.55
O (0.3491, 0.4634, 0.3632)  1 P 1.56
O (0.0158, 0.7967, 0.6966)  1 P 1.56
O (0.1859, 0.0013, 0.9154)  1 P 1.55
O (0.4820, 0.3346, 0.7487)  1 P 1.55
O (0.1615, 0.4831, 0.2512)  1 P 1.57
O (0.5192, 0.6680, 0.5820)  1 P 1.55
O (0.3217, 0.8385, 0.2512)  1 P 1.57
O (0.8502, 0.5052, 0.4179)  1 P 1.57
O (0.2033, 0.9842, 0.1966)  1 P 1.56
O (0.1615, 0.6783, 0.7512)  1 P 1.57
O (0.5366, 0.8857, 0.3632)  1 P 1.56
O (0.8502, 0.3450, 0.9179)  1 P 1.57
O (0.9898, 0.2157, 0.3078)  1 P 1.53
O (0.6825, 0.5524, 0.5299)  1 P 1.56
O (0.3231, 0.4407, 0.4745)  1 P 1.53
O (0.4510, 0.3436, 0.1411)  1 P 1.53
O (0.5169, 0.6783, 0.2512)  1 P 1.57
O (0.1176, 0.4407, 0.9745)  1 P 1.53
O (0.1859, 0.1846, 0.4154)  1 P 1.55
O (0.9883, 0.1719, 0.5845)  1 P 1.57
O (0.8699, 0.3175, 0.5299)  1 P 1.56
O (0.6825, 0.1301, 0.0299)  1 P 1.56
O (0.2033, 0.2191, 0.6966)  1 P 1.56
O (0.9987, 0.8141, 0.4154)  1 P 1.55
O (0.3217, 0.4831, 0.7512)  1 P 1.57
O (0.1835, 0.1719, 0.0845)  1 P 1.57
O (0.8526, 0.3346, 0.2487)  1 P 1.55
O (0.3231, 0.8824, 0.9745)  1 P 1.53
O (0.5593, 0.6769, 0.9745)  1 P 1.53
O (0.1143, 0.6509, 0.3632)  1 P 1.56
O (0.9987, 0.1846, 0.9154)  1 P 1.55
O (0.7843, 0.7741, 0.3078)  1 P 1.53
O (0.7809, 0.7967, 0.1966)  1 P 1.56
O (0.4476, 0.1301, 0.5299)  1 P 1.56
O (0.1487, 0.6680, 0.0820)  1 P 1.55
O (0.8926, 0.5490, 0.1411)  1 P 1.53
O (0.8281, 0.0117, 0.0845)  1 P 1.57
O (0.6654, 0.5180, 0.2487)  1 P 1.55
O (0.6550, 0.5052, 0.9179)  1 P 1.57
O (0.4476, 0.3175, 0.0299)  1 P 1.56
O (0.4820, 0.1474, 0.2487)  1 P 1.55
O (0.8154, 0.8141, 0.9154)  1 P 1.55
O (0.8699, 0.5524, 0.0299)  1 P 1.56
O (0.6564, 0.1074, 0.1411)  1 P 1.53
Na (0.3065, 0.3443, 0.5792)  4 O 2.42-2.70
Na (0.6667, 0.3333, 0.3291)  6 O 2.53-2.63
Na (0.6398, 0.0109, 0.2459)  4 O 2.42-2.70
Na (0.3224, 0.0268, 0.4126)  4 O 2.42-2.70
Na (0.0378, 0.6935, 0.5792)  4 O 2.42-2.70
Na (0.3333, 0.6667, 0.1624)  6 O 2.53-2.63
Na (0.3224, 0.2956, 0.9126)  4 O 2.42-2.70
Na (0.9891, 0.6289, 0.2459)  4 O 2.42-2.70
Na (0.3333, 0.6667, 0.6624)  6 O 2.53-2.63
Na (0.9891, 0.3602, 0.7459)  4 O 2.42-2.70
Na (0.6667, 0.3333, 0.8291)  6 O 2.53-2.63
Na (0.6398, 0.6289, 0.7459)  4 O 2.42-2.70
Na (0.7044, 0.6776, 0.4126)  4 O 2.42-2.70
Na (0.6557, 0.9622, 0.5792)  4 O 2.42-2.70
Na (0.9732, 0.2956, 0.4126)  4 O 2.42-2.70
Na (0.0000, 0.0000, 0.4958)  6 O 2.53-2.63
Na (0.0378, 0.3443, 0.0792)  4 O 2.42-2.70
Na (0.3711, 0.0109, 0.7459)  4 O 2.42-2.70
Na (0.3711, 0.3602, 0.2459)  4 O 2.42-2.70
Na (0.0000, 0.0000, 0.9958)  6 O 2.53-2.63
Na (0.3065, 0.9622, 0.0792)  4 O 2.42-2.70
Na (0.9732, 0.6776, 0.9126)  4 O 2.42-2.70
Na (0.7044, 0.0268, 0.9126)  4 O 2.42-2.70
Na (0.6557, 0.6935, 0.0792)  4 O 2.42-2.70
P (0.3552, 0.3303, 0.0849)  4 O 1.53-1.57
P (0.6697, 0.0249, 0.0849)  4 O 1.53-1.57
P (0.3084, 0.9969, 0.2516)  4 O 1.53-1.57
P (0.3084, 0.3114, 0.7516)  4 O 1.53-1.57
P (0.9751, 0.3303, 0.5849)  4 O 1.53-1.57
P (0.3364, 0.9781, 0.9183)  4 O 1.53-1.57
P (0.6417, 0.9781, 0.4183)  4 O 1.53-1.57
P (0.6886, 0.9969, 0.7516)  4 O 1.53-1.57
P (0.0219, 0.6636, 0.4183)  4 O 1.53-1.57
P (0.0219, 0.3583, 0.9183)  4 O 1.53-1.57
P (0.0031, 0.3114, 0.2516)  4 O 1.53-1.57
P (0.3552, 0.0249, 0.5849)  4 O 1.53-1.57
P (0.9751, 0.6448, 0.0849)  4 O 1.53-1.57
P (0.6886, 0.6916, 0.2516)  4 O 1.53-1.57
P (0.6417, 0.6636, 0.9183)  4 O 1.53-1.57
P (0.6697, 0.6448, 0.5849)  4 O 1.53-1.57
P (0.0031, 0.6916, 0.7516)  4 O 1.53-1.57
P (0.3364, 0.3583, 0.4183)  4 O 1.53-1.57
Y (0.6667, 0.3333, 0.4859)  6 O 2.24-2.29
Y (0.0000, 0.0000, 0.6526)  6 O 2.24-2.29
Y (0.0000, 0.0000, 0.1526)  6 O 2.24-2.29
Y (0.6667, 0.3333, 0.9859)  6 O 2.24-2.29
Y (0.3333, 0.6667, 0.8193)  6 O 2.24-2.29
Y (0.3333, 0.6667, 0.3193)  6 O 2.24-2.29
Ca (0.3333, 0.6667, 0.0130)  6 O 2.27-2.35
Ca (0.0000, 0.0000, 0.8464)  6 O 2.27-2.35
Ca (0.0000, 0.0000, 0.3464)  6 O 2.27-2.35
Ca (0.6667, 0.3333, 0.1797)  6 O 2.27-2.35
Ca (0.3333, 0.6667, 0.5130)  6 O 2.27-2.35
Ca (0.6667, 0.3333, 0.6797)  6 O 2.27-2.35

Magnetic moment in μB/f.u.: 0.00
Formation energy from the elements in eV per atom: -2.959
Volume in Å³ per cell: 1770